# 1
KPrP2Se6 | PBE | relaxed

Summary:
ρ in kg/m³: 4240
VASP energy in eV/atom: -4.58
Energy with MP2020 corrections in eV per atom: -4.865
Energy of formation in eV/atom: -1.0953
Space-group type: P2_1/c

```
KPrP2Se6
1.0
-2.024 5.350 5.445
-1.059 -8.705 8.160
11.036 -1.707 5.779
K Pr P Se
4 4 8 24
direct
0.413 0.626 0.128
0.587 0.374 0.872
0.913 0.874 0.872
0.087 0.126 0.128
0.603 0.905 0.351
0.397 0.095 0.649
0.103 0.595 0.649
0.897 0.405 0.351
0.883 0.733 0.210
0.117 0.267 0.790
0.383 0.767 0.790
0.617 0.233 0.210
0.598 0.753 0.676
0.402 0.247 0.324
0.098 0.747 0.324
0.902 0.253 0.676
0.689 0.633 0.329
0.311 0.367 0.671
0.189 0.867 0.671
0.811 0.133 0.329
0.973 0.816 0.449
0.027 0.184 0.551
0.473 0.684 0.551
0.527 0.316 0.449
0.291 0.861 0.215
0.709 0.139 0.785
0.791 0.639 0.785
0.209 0.361 0.215
0.690 0.936 0.588
0.310 0.064 0.412
0.190 0.564 0.412
0.810 0.436 0.588
0.982 0.628 0.110
0.018 0.372 0.890
0.482 0.872 0.890
0.518 0.128 0.110
0.786 0.914 0.130
0.214 0.086 0.870
0.286 0.586 0.870
0.714 0.414 0.130
```



# 2
KPuP2S7 | PBE | relaxed

Summary:
ρ in kg/m³: 3420
VASP energy in eV/atom: -5.81
Energy with MP2020 corrections in eV per atom: -6.132
Energy of formation in eV/atom: -1.1177
Space-group type: P2_1/c

```
KPuP2S7
1.0
-5.611 11.053 1.123
-3.294 -2.493 8.084
7.975 3.603 4.388
K Pu P S
4 4 8 28
direct
0.307 0.132 0.395
0.807 0.368 0.605
0.693 0.868 0.605
0.193 0.632 0.395
0.360 0.893 0.859
0.860 0.607 0.141
0.640 0.107 0.141
0.140 0.393 0.859
0.463 0.804 0.185
0.963 0.696 0.815
0.537 0.196 0.815
0.037 0.304 0.185
0.104 0.023 0.728
0.604 0.477 0.272
0.896 0.977 0.272
0.396 0.523 0.728
0.556 0.827 0.015
0.056 0.673 0.985
0.444 0.173 0.985
0.944 0.327 0.015
0.475 0.065 0.667
0.975 0.435 0.333
0.525 0.935 0.333
0.025 0.565 0.667
0.306 0.854 0.146
0.806 0.646 0.854
0.694 0.146 0.854
0.194 0.354 0.146
0.443 0.713 0.637
0.943 0.787 0.363
0.557 0.287 0.363
0.057 0.213 0.637
0.173 0.077 0.910
0.673 0.423 0.090
0.827 0.923 0.090
0.327 0.577 0.910
0.212 0.890 0.633
0.712 0.610 0.367
0.788 0.110 0.367
0.288 0.390 0.633
0.949 0.922 0.752
0.449 0.578 0.248
0.051 0.078 0.248
0.551 0.422 0.752
```



# 3
K3PuP2S8 | PBE | relaxed

Summary:
ρ in kg/m³: 2975
VASP energy in eV/atom: -5.23
Energy with MP2020 corrections in eV per atom: -5.522
Energy of formation in eV/atom: -1.1276
Space-group type: P2_1/c

```
K3PuP2S8
1.0
17.281 0.000 0.000
0.000 9.129 0.000
0.000 0.070 9.621
K Pu P S
12 4 8 32
direct
0.531 0.768 0.512
0.031 0.232 0.988
0.469 0.232 0.488
0.969 0.768 0.012
0.708 0.378 0.628
0.208 0.622 0.872
0.292 0.622 0.372
0.792 0.378 0.128
0.788 0.885 0.632
0.288 0.115 0.868
0.212 0.115 0.368
0.712 0.885 0.132
0.012 0.721 0.475
0.512 0.279 0.025
0.988 0.279 0.525
0.488 0.721 0.975
0.904 0.027 0.283
0.404 0.973 0.217
0.096 0.973 0.717
0.596 0.027 0.783
0.100 0.499 0.260
0.600 0.501 0.240
0.900 0.501 0.740
0.400 0.499 0.760
0.152 0.829 0.587
0.652 0.171 0.913
0.848 0.171 0.413
0.348 0.829 0.087
0.875 0.813 0.336
0.375 0.187 0.164
0.125 0.187 0.664
0.625 0.813 0.836
0.021 0.047 0.326
0.521 0.953 0.174
0.979 0.953 0.674
0.479 0.047 0.826
0.120 0.466 0.471
0.620 0.534 0.029
0.880 0.534 0.529
0.380 0.466 0.971
0.110 0.720 0.231
0.610 0.280 0.269
0.890 0.280 0.769
0.390 0.720 0.731
0.984 0.445 0.252
0.484 0.555 0.248
0.016 0.555 0.748
0.516 0.445 0.752
0.175 0.385 0.141
0.675 0.615 0.359
0.825 0.615 0.859
0.325 0.385 0.641
0.875 0.065 0.082
0.375 0.935 0.418
0.125 0.935 0.918
0.625 0.065 0.582
```



# 4
K3P5RuSe10 | PBE | relaxed

Summary:
ρ in kg/m³: 3610
VASP energy in eV/atom: -4.45
Energy with MP2020 corrections in eV per atom: -4.702
Energy of formation in eV/atom: -0.7741
Space-group type: P2_1/m

```
K3P5RuSe10
1.0
-6.199 -3.041 2.729
-0.867 -6.547 -9.264
6.851 -9.359 5.134
K P Ru Se
6 10 2 20
direct
0.250 0.987 0.608
0.750 0.013 0.392
0.250 0.098 0.069
0.250 0.473 0.612
0.750 0.902 0.931
0.750 0.527 0.388
0.750 0.276 0.591
0.520 0.476 0.916
0.480 0.524 0.084
0.250 0.864 0.274
0.250 0.724 0.409
0.750 0.136 0.726
0.250 0.723 0.942
0.980 0.476 0.916
0.020 0.524 0.084
0.750 0.277 0.058
0.250 0.650 0.115
0.750 0.350 0.885
0.250 0.906 0.881
0.750 0.962 0.667
0.250 0.379 0.879
0.995 0.258 0.500
0.476 0.813 0.169
0.490 0.659 0.838
0.010 0.659 0.838
0.505 0.258 0.500
0.250 0.038 0.333
0.510 0.341 0.162
0.750 0.621 0.121
0.524 0.187 0.831
0.250 0.562 0.312
0.976 0.187 0.831
0.495 0.742 0.500
0.990 0.341 0.162
0.750 0.094 0.119
0.024 0.813 0.169
0.005 0.742 0.500
0.750 0.438 0.688
```



# 5
K3PS4 | PBE | relaxed

Summary:
ρ in kg/m³: 2021
VASP energy in eV/atom: -4.16
Energy with MP2020 corrections in eV per atom: -4.411
Energy of formation in eV/atom: -1.2493
Space-group type: Pnma

```
K3PS4
1.0
-2.080 -6.212 6.379
8.311 -4.039 -1.224
4.175 6.315 7.510
K P S
12 4 16
direct
0.640 0.421 0.250
0.860 0.921 0.750
0.140 0.079 0.250
0.360 0.579 0.750
0.445 0.798 0.045
0.055 0.298 0.955
0.945 0.702 0.455
0.555 0.202 0.545
0.555 0.202 0.955
0.945 0.702 0.045
0.055 0.298 0.545
0.445 0.798 0.455
0.722 0.981 0.250
0.778 0.481 0.750
0.222 0.519 0.250
0.278 0.019 0.750
0.694 0.761 0.250
0.806 0.261 0.750
0.194 0.739 0.250
0.306 0.239 0.750
0.520 0.081 0.250
0.980 0.581 0.750
0.020 0.419 0.250
0.480 0.919 0.750
0.834 0.038 0.090
0.666 0.538 0.910
0.334 0.462 0.410
0.166 0.962 0.590
0.166 0.962 0.910
0.334 0.462 0.090
0.666 0.538 0.590
0.834 0.038 0.410
```



# 6
K2PS3 | PBE | relaxed

Summary:
ρ in kg/m³: 1966
VASP energy in eV/atom: -4.29
Energy with MP2020 corrections in eV per atom: -4.538
Energy of formation in eV/atom: -1.1971
Space-group type: P2_1/c

```
K2PS3
1.0
-7.434 1.946 -9.324
-0.316 -8.379 -1.496
-10.630 -1.424 8.178
K P S
16 8 24
direct
0.736 0.224 0.088
0.236 0.276 0.912
0.264 0.776 0.912
0.764 0.724 0.088
0.431 0.839 0.177
0.931 0.661 0.823
0.569 0.161 0.823
0.069 0.339 0.177
0.303 0.640 0.565
0.803 0.860 0.435
0.697 0.360 0.435
0.197 0.140 0.565
0.113 0.785 0.298
0.613 0.715 0.702
0.887 0.215 0.702
0.387 0.285 0.298
0.495 0.928 0.429
0.995 0.572 0.571
0.505 0.072 0.571
0.005 0.428 0.429
0.031 0.937 0.071
0.531 0.563 0.929
0.969 0.063 0.929
0.469 0.437 0.071
0.313 0.519 0.095
0.813 0.981 0.905
0.687 0.481 0.905
0.187 0.019 0.095
0.030 0.702 0.045
0.530 0.798 0.955
0.970 0.298 0.955
0.470 0.202 0.045
0.575 0.498 0.182
0.075 0.002 0.818
0.425 0.502 0.818
0.925 0.998 0.182
0.406 0.963 0.674
0.906 0.537 0.326
0.594 0.037 0.326
0.094 0.463 0.674
0.045 0.794 0.536
0.545 0.706 0.464
0.955 0.206 0.464
0.455 0.294 0.536
0.332 0.939 0.390
0.832 0.561 0.610
0.668 0.061 0.610
0.168 0.439 0.390
```



# 7
KSnPS4 | PBE | relaxed

Summary:
ρ in kg/m³: 2762
VASP energy in eV/atom: -4.50
Energy with MP2020 corrections in eV per atom: -4.787
Energy of formation in eV/atom: -0.9185
Space-group type: P2_1/c

```
KSnPS4
1.0
12.296 0.000 0.000
0.000 6.916 0.000
0.000 6.590 8.965
K Sn P S
4 4 4 16
direct
0.399 0.368 0.870
0.899 0.632 0.630
0.601 0.632 0.130
0.101 0.368 0.370
0.130 0.931 0.885
0.630 0.069 0.615
0.870 0.069 0.115
0.370 0.931 0.385
0.340 0.095 0.630
0.840 0.905 0.870
0.660 0.905 0.370
0.160 0.095 0.130
0.454 0.925 0.800
0.954 0.075 0.700
0.546 0.075 0.200
0.046 0.925 0.300
0.078 0.280 0.928
0.578 0.720 0.572
0.922 0.720 0.072
0.422 0.280 0.428
0.250 0.330 0.644
0.750 0.670 0.856
0.750 0.670 0.356
0.250 0.330 0.144
0.238 0.852 0.644
0.738 0.148 0.856
0.762 0.148 0.356
0.262 0.852 0.144
```



# 8
K3Sn2P5S18 | PBE | relaxed

Summary:
ρ in kg/m³: 2410
VASP energy in eV/atom: -4.51
Energy with MP2020 corrections in eV per atom: -4.836
Energy of formation in eV/atom: -0.8051
Space-group type: C2/c

```
K3Sn2P5S18
1.0
3.084 11.873 0.000
-3.084 11.873 0.000
0.000 5.987 20.450
K Sn P S
6 4 10 36
direct
0.735 0.955 0.674
0.265 0.045 0.326
0.045 0.265 0.826
0.955 0.735 0.174
0.000 0.000 0.500
0.000 0.000 0.000
0.625 0.136 0.874
0.375 0.864 0.126
0.864 0.375 0.626
0.136 0.625 0.374
0.749 0.251 0.750
0.251 0.749 0.250
0.314 0.442 0.519
0.686 0.558 0.481
0.558 0.686 0.981
0.442 0.314 0.019
0.656 0.851 0.860
0.344 0.149 0.140
0.149 0.344 0.640
0.851 0.656 0.360
0.377 0.209 0.554
0.623 0.791 0.446
0.791 0.623 0.946
0.209 0.377 0.054
0.750 0.983 0.994
0.250 0.017 0.006
0.017 0.250 0.506
0.983 0.750 0.494
0.920 0.044 0.834
0.080 0.956 0.166
0.956 0.080 0.666
0.044 0.920 0.334
0.603 0.818 0.793
0.397 0.182 0.207
0.182 0.397 0.707
0.818 0.603 0.293
0.241 0.094 0.665
0.759 0.906 0.335
0.906 0.759 0.835
0.094 0.241 0.165
0.378 0.176 0.887
0.622 0.824 0.113
0.824 0.622 0.613
0.176 0.378 0.387
0.499 0.682 0.570
0.501 0.318 0.430
0.318 0.501 0.930
0.682 0.499 0.070
0.400 0.455 0.579
0.600 0.545 0.421
0.545 0.600 0.921
0.455 0.400 0.079
0.491 0.359 0.760
0.509 0.641 0.240
0.641 0.509 0.740
0.359 0.491 0.260
```